No. 1
This record from the Materials Project database describes a relaxed MgCu3Sn4O12 crystal. The functional is PBE.

Cell lengths 6.6805, 6.6805, 6.6805 Å; angles 109.47, 109.47, 109.47 degrees
Atoms (fractional coordinates):
Mg 0.0000 0.0000 0.0000
Cu 0.0000 0.5000 0.5000
Cu 0.5000 0.0000 0.5000
Cu 0.5000 0.5000 0.0000
Sn 0.0000 0.0000 0.5000
Sn 0.0000 0.5000 0.0000
Sn 0.5000 0.0000 0.0000
Sn 0.5000 0.5000 0.5000
O 0.1372 0.8317 0.3055
O 0.1683 0.3055 0.4738
O 0.1683 0.6945 0.8628
O 0.3055 0.1372 0.8317
O 0.3055 0.4738 0.1683
O 0.4738 0.1683 0.3055
O 0.5262 0.8317 0.6945
O 0.6945 0.5262 0.8317
O 0.6945 0.8628 0.1683
O 0.8317 0.3055 0.1372
O 0.8317 0.6945 0.5262
O 0.8628 0.1683 0.6945

Results
The formation enthalpy at 0 K comes out at -1.71 eV/atom. The corrected total energy (MP2020 scheme) comes out at -123.5 eV for the cell shown. As for the energy above the most stable polymorph in this dataset: 0 meV/atom. Its total moment is 0.150 μB/atom. For the energy, the calculation gives -115.3 eV per formula unit.

No. 2
This record from the Materials Project database describes a relaxed ErMgSe3 crystal. The functional is PBE.

Cell lengths 6.8735, 6.8735, 19.1896 Å; angles 90.00, 90.00, 120.00 degrees
Atoms (fractional coordinates):
Se 0.0322 0.3408 0.9176
Se 0.9753 0.3011 0.2509
Se 0.3581 0.3655 0.4157
Se 0.6741 0.9753 0.7491
Se 0.6419 0.6345 0.5843
Se 0.3655 0.0075 0.5843
Se 0.9925 0.3581 0.5843
Se 0.0075 0.6419 0.4157
Se 0.6345 0.9925 0.4157
Se 0.6592 0.6914 0.9176
Se 0.3011 0.3259 0.7491
Se 0.3086 0.9678 0.9176
Se 0.6914 0.0322 0.0824
Se 0.9678 0.6592 0.0824
Se 0.3408 0.3086 0.0824
Se 0.6989 0.6741 0.2509
Se 0.0247 0.6989 0.7491
Se 0.3259 0.0247 0.2509
Mg 0.6667 0.3333 0.1716
Mg 0.0000 0.0000 0.8383
Mg 0.3333 0.6667 0.5050
Mg 0.0000 0.0000 0.1617
Mg 0.3333 0.6667 0.8284
Mg 0.6667 0.3333 0.4950
Er 0.3333 0.6667 0.0144
Er 0.0000 0.0000 0.3477
Er 0.6667 0.3333 0.9856
Er 0.0000 0.0000 0.6523
Er 0.6667 0.3333 0.6810
Er 0.3333 0.6667 0.3190

Results
The formation enthalpy at 0 K comes out at -1.51 eV/atom. The corrected total energy (MP2020 scheme) comes out at -145.1 eV for the cell shown. As for the energy above the most stable polymorph in this dataset: 0 meV/atom. Its total moment is 0.032 μB/atom. For the energy, the calculation gives -22.8 eV per formula unit.

No. 3
This record from the Materials Project database describes a relaxed Cu5SnB2O10 crystal. The functional is PBE.

Cell lengths 6.4740, 9.6395, 12.2868 Å; angles 90.00, 94.59, 90.00 degrees
Atoms (fractional coordinates):
Cu 0.0000 0.0000 0.0000
Cu 0.0000 0.5000 0.5000
Cu 0.0185 0.0012 0.2776
Cu 0.0185 0.4988 0.7776
Cu 0.2133 0.7352 0.6230
Cu 0.2133 0.7648 0.1230
Cu 0.2591 0.5154 0.0011
Cu 0.2591 0.9846 0.5011
Cu 0.4717 0.5172 0.2243
Cu 0.4717 0.9828 0.7243
Cu 0.5000 0.0000 0.0000
Cu 0.5000 0.5000 0.5000
Cu 0.5283 0.0172 0.2757
Cu 0.5283 0.4828 0.7757
Cu 0.7409 0.0154 0.4989
Cu 0.7409 0.4846 0.9989
Cu 0.7867 0.2352 0.8770
Cu 0.7867 0.2648 0.3770
Cu 0.9815 0.5012 0.2224
Cu 0.9815 0.9988 0.7224
Sn 0.2826 0.2366 0.8772
Sn 0.2826 0.2634 0.3772
Sn 0.7174 0.7366 0.6228
Sn 0.7174 0.7634 0.1228
B 0.1863 0.7276 0.3676
B 0.1863 0.7724 0.8676
B 0.3095 0.2435 0.1301
B 0.3095 0.2565 0.6301
B 0.6905 0.7435 0.3699
B 0.6905 0.7565 0.8699
B 0.8137 0.2276 0.1324
B 0.8137 0.2724 0.6324
O 0.0191 0.1043 0.8557
O 0.0191 0.3957 0.3557
O 0.0828 0.1077 0.4122
O 0.0828 0.3923 0.9122
O 0.1693 0.6603 0.2666
O 0.1693 0.8397 0.7666
O 0.1795 0.6555 0.4647
O 0.1795 0.8445 0.9647
O 0.2177 0.6300 0.8668
O 0.2177 0.8700 0.3668
O 0.2862 0.1156 0.6299
O 0.2862 0.3844 0.1299
O 0.3165 0.1693 0.2269
O 0.3165 0.3307 0.7269
O 0.3196 0.1642 0.0368
O 0.3196 0.3358 0.5368
O 0.4407 0.6340 0.0938
O 0.4407 0.8660 0.5938
O 0.4989 0.0865 0.8565
O 0.4989 0.4135 0.3565
O 0.5011 0.5865 0.6435
O 0.5011 0.9135 0.1435
O 0.5593 0.1340 0.4062
O 0.5593 0.3660 0.9062
O 0.6804 0.6642 0.4632
O 0.6804 0.8358 0.9632
O 0.6835 0.6693 0.2731
O 0.6835 0.8307 0.7731
O 0.7138 0.6156 0.8701
O 0.7138 0.8844 0.3701
O 0.7823 0.1300 0.6332
O 0.7823 0.3700 0.1332
O 0.8205 0.1555 0.0353
O 0.8205 0.3445 0.5353
O 0.8307 0.1603 0.2334
O 0.8307 0.3397 0.7334
O 0.9172 0.6077 0.0878
O 0.9172 0.8923 0.5878
O 0.9809 0.6043 0.6443
O 0.9809 0.8957 0.1443

Results
The formation enthalpy at 0 K comes out at -1.60 eV/atom. The corrected total energy (MP2020 scheme) comes out at -464.5 eV for the cell shown. Its total moment is 0.111 μB/atom. For the energy, the calculation gives -109.2 eV per formula unit.

No. 4
This record from the Materials Project database describes a relaxed KUCuSe3 crystal. The functional is PBE.

Cell lengths 7.6613, 7.6613, 10.7000 Å; angles 90.00, 90.00, 148.92 degrees
Atoms (fractional coordinates):
K 0.2465 0.7535 0.7500
K 0.7535 0.2465 0.2500
U 0.5000 0.5000 0.0000
U 0.5000 0.5000 0.5000
Cu 0.0326 0.9674 0.2500
Cu 0.9674 0.0326 0.7500
Se 0.1263 0.8737 0.0617
Se 0.1263 0.8737 0.4383
Se 0.4349 0.5651 0.2500
Se 0.5651 0.4349 0.7500
Se 0.8737 0.1263 0.5617
Se 0.8737 0.1263 0.9383

Results
The formation enthalpy at 0 K comes out at -1.30 eV/atom. The corrected total energy (MP2020 scheme) comes out at -69.6 eV for the cell shown. Its total moment is 0.333 μB/atom. For the energy, the calculation gives -33.4 eV per formula unit.

No. 5
This record from the Materials Project database describes a relaxed Te6Mo3WS2 crystal. The functional is PBE.

Cell lengths 3.4557, 3.4557, 39.2850 Å; angles 90.00, 90.00, 120.00 degrees
Atoms (fractional coordinates):
Te 0.0000 0.0000 0.0000
Te 0.0000 0.0000 0.0943
Te 0.0000 0.0000 0.3757
Te 0.0000 0.0000 0.4698
Te 0.6667 0.3333 0.5635
Te 0.6667 0.3333 0.6581
Mo 0.0000 0.0000 0.2350
Mo 0.6667 0.3333 0.0471
Mo 0.6667 0.3333 0.4228
W 0.0000 0.0000 0.6108
S 0.6667 0.3333 0.1971
S 0.6667 0.3333 0.2729

Results
The formation enthalpy at 0 K comes out at -0.40 eV/atom. The corrected total energy (MP2020 scheme) comes out at -77.4 eV for the cell shown. As for the energy above the most stable polymorph in this dataset: 34 meV/atom. Its total moment is 0.001 μB/atom. For the energy, the calculation gives -76.4 eV per formula unit.

No. 6
This record from the Materials Project database describes a relaxed Gd2Fe12P7 crystal. The functional is PBE.

Cell lengths 8.9947, 8.9947, 3.6452 Å; angles 90.00, 90.00, 120.00 degrees
Atoms (fractional coordinates):
Gd 0.0000 0.0000 0.0000
Gd 0.3333 0.6667 0.5000
Fe 0.0389 0.7608 0.5000
Fe 0.0985 0.3827 0.0000
Fe 0.2392 0.2780 0.5000
Fe 0.2842 0.9015 0.0000
Fe 0.4479 0.2355 0.0000
Fe 0.5131 0.0597 0.5000
Fe 0.5466 0.4869 0.5000
Fe 0.6173 0.7158 0.0000
Fe 0.7220 0.9611 0.5000
Fe 0.7645 0.2124 0.0000
Fe 0.7876 0.5521 0.0000
Fe 0.9403 0.4534 0.5000
P 0.0669 0.6236 0.0000
P 0.2581 0.0367 0.5000
P 0.3764 0.4432 0.0000
P 0.5568 0.9331 0.0000
P 0.6667 0.3333 0.5000
P 0.7786 0.7419 0.5000
P 0.9633 0.2214 0.5000

Results
The formation enthalpy at 0 K comes out at -0.17 eV/atom. Its total moment is 0.261 μB/atom. For the energy, the calculation gives -171.2 eV per formula unit.

No. 7
This record from the Materials Project database describes a relaxed BPt crystal. The functional is PBE.

Cell lengths 3.2294, 3.2294, 5.2613 Å; angles 90.00, 90.00, 120.00 degrees
Atoms (fractional coordinates):
B 0.3333 0.6667 0.2500
B 0.6667 0.3333 0.7500
Pt 0.0000 0.0000 0.0000
Pt 0.0000 0.0000 0.5000

Results
The formation enthalpy at 0 K comes out at 0.06 eV/atom. Its total moment is 0.000 μB/atom. For the energy, the calculation gives -12.6 eV per formula unit.

No. 8
This record from the Materials Project database describes a relaxed Dy2ZnAg crystal. The functional is PBE.

Cell lengths 5.1048, 5.1048, 5.1048 Å; angles 60.00, 60.00, 60.00 degrees
Atoms (fractional coordinates):
Dy 0.2500 0.2500 0.2500
Dy 0.7500 0.7500 0.7500
Zn 0.0000 0.0000 0.0000
Ag 0.5000 0.5000 0.5000

Results
The formation enthalpy at 0 K comes out at -0.33 eV/atom. For the energy, the calculation gives -14.6 eV per formula unit.

No. 9
This record from the Materials Project database describes a relaxed KNa3Al12Si12H8O48 crystal. The functional is PBE.

Cell lengths 10.3883, 9.0030, 21.5078 Å; angles 90.00, 114.51, 90.00 degrees
Atoms (fractional coordinates):
K 0.0000 0.1035 0.2500
K 0.0000 0.8965 0.7500
Na 0.2479 0.3786 0.7494
Na 0.2479 0.6214 0.2494
Na 0.5000 0.0766 0.2500
Na 0.5000 0.9234 0.7500
Na 0.7521 0.3786 0.7506
Na 0.7521 0.6214 0.2506
Al 0.0869 0.2406 0.8595
Al 0.0869 0.7594 0.3595
Al 0.1239 0.4143 0.9990
Al 0.1239 0.5857 0.4990
Al 0.1262 0.0843 0.9990
Al 0.1262 0.9157 0.4990
Al 0.3747 0.0849 0.5008
Al 0.3747 0.9151 0.0008
Al 0.3775 0.4143 0.5017
Al 0.3775 0.5857 0.0017
Al 0.4147 0.2413 0.6408
Al 0.4147 0.7587 0.1408
Al 0.5853 0.2413 0.8592
Al 0.5853 0.7587 0.3592
Al 0.6225 0.4143 0.9983
Al 0.6225 0.5857 0.4983
Al 0.6253 0.0849 0.9992
Al 0.6253 0.9151 0.4992
Al 0.8738 0.0843 0.5010
Al 0.8738 0.9157 0.0010
Al 0.8761 0.4143 0.5010
Al 0.8761 0.5857 0.0010
Al 0.9131 0.2406 0.6405
Al 0.9131 0.7594 0.1405
Si 0.0836 0.4295 0.3604
Si 0.0836 0.5705 0.8604
Si 0.1564 0.0712 0.6404
Si 0.1564 0.9288 0.1404
Si 0.1725 0.2564 0.1392
Si 0.1725 0.7436 0.6392
Si 0.3313 0.2570 0.3614
Si 0.3313 0.7430 0.8614
Si 0.3462 0.0706 0.8595
Si 0.3462 0.9294 0.3595
Si 0.4177 0.4302 0.1410
Si 0.4177 0.5698 0.6410
Si 0.5823 0.4302 0.3590
Si 0.5823 0.5698 0.8590
Si 0.6538 0.0706 0.6405
Si 0.6538 0.9294 0.1405
Si 0.6687 0.2570 0.1386
Si 0.6687 0.7430 0.6386
Si 0.8275 0.2564 0.3608
Si 0.8275 0.7436 0.8608
Si 0.8436 0.0712 0.8596
Si 0.8436 0.9288 0.3596
Si 0.9164 0.4295 0.1396
Si 0.9164 0.5705 0.6396
H 0.1229 0.1594 0.4447
H 0.1229 0.8406 0.9447
H 0.1347 0.3546 0.5708
H 0.1347 0.6454 0.0708
H 0.3650 0.3517 0.9327
H 0.3650 0.6483 0.4327
H 0.3780 0.1577 0.0560
H 0.3780 0.8423 0.5560
H 0.6220 0.1577 0.4440
H 0.6220 0.8423 0.9440
H 0.6350 0.3517 0.5673
H 0.6350 0.6483 0.0673
H 0.8653 0.3546 0.9292
H 0.8653 0.6454 0.4292
H 0.8771 0.1594 0.0553
H 0.8771 0.8406 0.5553
O 0.0146 0.4153 0.8245
O 0.0146 0.5847 0.3245
O 0.0445 0.3037 0.1614
O 0.0445 0.6963 0.6614
O 0.0467 0.1073 0.6744
O 0.0467 0.8927 0.1744
O 0.0755 0.4407 0.5509
O 0.0755 0.5593 0.0509
O 0.0765 0.0523 0.5563
O 0.0765 0.9477 0.0563
O 0.1144 0.2511 0.0564
O 0.1144 0.7489 0.5564
O 0.1379 0.2497 0.9483
O 0.1379 0.7503 0.4483
O 0.1726 0.4429 0.4438
O 0.1726 0.5571 0.9438
O 0.1743 0.0672 0.4494
O 0.1743 0.9328 0.9494
O 0.1945 0.3696 0.3278
O 0.1945 0.6304 0.8278
O 0.2273 0.2016 0.8365
O 0.2273 0.7984 0.3365
O 0.2328 0.0919 0.1722
O 0.2328 0.9081 0.6722
O 0.2734 0.2040 0.6628
O 0.2734 0.7960 0.1628
O 0.2741 0.0929 0.3290
O 0.2741 0.9071 0.8290
O 0.3056 0.3728 0.1732
O 0.3056 0.6272 0.6732
O 0.3260 0.0655 0.0502
O 0.3260 0.9345 0.5502
O 0.3291 0.4442 0.0575
O 0.3291 0.5558 0.5575
O 0.3645 0.2496 0.5521
O 0.3645 0.7504 0.0521
O 0.3897 0.2522 0.4442
O 0.3897 0.7478 0.9442
O 0.4229 0.4400 0.9492
O 0.4229 0.5600 0.4492
O 0.4242 0.0533 0.9436
O 0.4242 0.9467 0.4436
O 0.4554 0.1038 0.8243
O 0.4554 0.8962 0.3243
O 0.4566 0.3020 0.3369
O 0.4566 0.6980 0.8369
O 0.4890 0.4148 0.6763
O 0.4890 0.5852 0.1763
O 0.5110 0.4148 0.8237
O 0.5110 0.5852 0.3237
O 0.5434 0.3020 0.1631
O 0.5434 0.6980 0.6631
O 0.5446 0.1038 0.6757
O 0.5446 0.8962 0.1757
O 0.5758 0.0533 0.5564
O 0.5758 0.9467 0.0564
O 0.5771 0.4400 0.5508
O 0.5771 0.5600 0.0508
O 0.6103 0.2522 0.0558
O 0.6103 0.7478 0.5558
O 0.6355 0.2496 0.9479
O 0.6355 0.7504 0.4479
O 0.6709 0.4442 0.4425
O 0.6709 0.5558 0.9425
O 0.6740 0.0655 0.4498
O 0.6740 0.9345 0.9498
O 0.6944 0.3728 0.3268
O 0.6944 0.6272 0.8268
O 0.7259 0.0929 0.1710
O 0.7259 0.9071 0.6710
O 0.7266 0.2040 0.8372
O 0.7266 0.7960 0.3372
O 0.7672 0.0919 0.3278
O 0.7672 0.9081 0.8278
O 0.7727 0.2016 0.6635
O 0.7727 0.7984 0.1635
O 0.8055 0.3696 0.1722
O 0.8055 0.6304 0.6722
O 0.8257 0.0672 0.0506
O 0.8257 0.9328 0.5506
O 0.8274 0.4429 0.0562
O 0.8274 0.5571 0.5562
O 0.8621 0.2497 0.5517
O 0.8621 0.7503 0.0517
O 0.8856 0.2511 0.4436
O 0.8856 0.7489 0.9436
O 0.9235 0.0523 0.9437
O 0.9235 0.9477 0.4437
O 0.9245 0.4407 0.9491
O 0.9245 0.5593 0.4491
O 0.9533 0.1073 0.8256
O 0.9533 0.8927 0.3256
O 0.9555 0.3037 0.3386
O 0.9555 0.6963 0.8386
O 0.9854 0.4153 0.6755
O 0.9854 0.5847 0.1755

Results
The formation enthalpy at 0 K comes out at -2.99 eV/atom. The corrected total energy (MP2020 scheme) comes out at -1261.5 eV for the cell shown. Its total moment is 0.000 μB/atom. For the energy, the calculation gives -597.8 eV per formula unit.

No. 10
This record from the Materials Project database describes a relaxed TaAsO4 crystal. The functional is PBE.

Cell lengths 5.1272, 5.5781, 5.7133 Å; angles 90.00, 100.90, 90.00 degrees
Atoms (fractional coordinates):
Ta 0.0000 0.1590 0.0000
Ta 0.0000 0.8410 0.5000
As 0.4528 0.3214 0.5880
As 0.4528 0.6786 0.0880
O 0.2341 0.1161 0.7211
O 0.2341 0.8839 0.2211
O 0.2497 0.4117 0.1206
O 0.2497 0.5883 0.6206
O 0.7148 0.3678 0.8567
O 0.7148 0.6322 0.3567
O 0.8422 0.0993 0.2761
O 0.8422 0.9007 0.7761

Results
The largest piezoelectric modulus is 2.003 C/m². The formation enthalpy at 0 K comes out at -2.57 eV/atom. The corrected total energy (MP2020 scheme) comes out at -103.4 eV for the cell shown. Its total moment is 0.000 μB/atom. For the energy, the calculation gives -49.0 eV per formula unit.

No. 11
This record from the Materials Project database describes a relaxed K2AlAuF6 crystal. The functional is PBE.

Cell lengths 6.0973, 6.0973, 6.0973 Å; angles 60.00, 60.00, 60.00 degrees
Atoms (fractional coordinates):
K 0.2500 0.2500 0.2500
K 0.7500 0.7500 0.7500
Al 0.0000 0.0000 0.0000
Au 0.5000 0.5000 0.5000
F 0.2126 0.2126 0.7874
F 0.2126 0.7874 0.2126
F 0.2126 0.7874 0.7874
F 0.7874 0.2126 0.2126
F 0.7874 0.2126 0.7874
F 0.7874 0.7874 0.2126

Results
The formation enthalpy at 0 K comes out at -2.86 eV/atom. The corrected total energy (MP2020 scheme) comes out at -49.3 eV for the cell shown. Its total moment is 0.000 μB/atom. For the energy, the calculation gives -46.5 eV per formula unit.